(1)
The following is a PBE-GGA calculation of a relaxed structure of FeCl3, from the Materials Project database.

Cell: 12.7427 3.7604 10.6222 Å, 110.71 141.85 64.42°
Atoms (fractional coordinates):
Cl: 0.2416 0.7797 0.0363
Cl: 0.6544 0.1270 0.4433
Cl: 0.4495 0.0449 0.5377
Cl: 0.8487 0.5075 0.0500
Cl: 0.9904 0.1793 0.4702
Cl: 0.5359 0.4322 0.9877
Fe: 0.8018 0.1719 0.1460
Fe: 0.4863 0.7854 0.3554

Summary:
space group: P1, No. 1
calculated total energy: -4.21 eV/atom
formation enthalpy at 0 K: -1.17 eV/atom

---

(2)
The following is a PBE-GGA calculation of a relaxed structure of Al, from the Materials Project database.

Cell: 2.8571 2.8571 9.2970 Å, 90.00 90.00 120.00°
Atoms (fractional coordinates):
Al: 0.6667 0.3333 0.7500
Al: 0.3333 0.6667 0.2500
Al: 0.0000 0.0000 0.0000
Al: 0.0000 0.0000 0.5000

Summary:
space group: P6_3/mmc, No. 194
calculated total energy: -3.73 eV/atom
offset from the most stable computed form: 0.26 kcal/mol of atoms
formation enthalpy at 0 K: 0.01 eV/atom

---

(3)
The following is a PBE-GGA calculation of a relaxed structure of MoS2, from the Materials Project database.

Cell: 3.1630 13.0210 43.4765 Å, 90.00 90.00 90.00°
Atoms (fractional coordinates):
S: 0.0000 0.3800 0.1812
S: 0.5000 0.6158 0.7332
S: 0.5000 0.1200 0.8188
S: 0.0000 0.8795 0.0106
S: 0.5000 0.1202 0.2020
S: 0.5000 0.6205 0.9894
S: 0.0000 0.8746 0.7542
S: 0.0000 0.6205 0.9256
S: 0.0000 0.1254 0.7542
S: 0.0000 0.8797 0.8828
S: 0.5000 0.6203 0.1172
S: 0.5000 0.1205 0.0744
S: 0.0000 0.3798 0.7980
S: 0.0000 0.6204 0.0533
S: 0.5000 0.6254 0.2458
S: 0.5000 0.3746 0.2458
S: 0.0000 0.6200 0.1812
S: 0.0000 0.1158 0.2668
S: 0.5000 0.1204 0.9467
S: 0.0000 0.3795 0.9256
S: 0.0000 0.1203 0.8828
S: 0.5000 0.6206 0.8618
S: 0.5000 0.8796 0.9467
S: 0.5000 0.8798 0.2020
S: 0.0000 0.1206 0.1382
S: 0.5000 0.3842 0.7332
S: 0.5000 0.3794 0.8618
S: 0.5000 0.8795 0.0744
S: 0.5000 0.3797 0.1172
S: 0.5000 0.8800 0.8188
S: 0.0000 0.3796 0.0533
S: 0.0000 0.8794 0.1382
S: 0.0000 0.1205 0.0106
S: 0.5000 0.3795 0.9894
S: 0.0000 0.8842 0.2668
S: 0.0000 0.6202 0.7980
Mo: 0.5000 0.0000 0.8614
Mo: 0.0000 0.0000 0.9253
Mo: 0.0000 0.5000 0.0108
Mo: 0.0000 0.5000 0.7557
Mo: 0.0000 0.5000 0.8832
Mo: 0.0000 0.5000 0.2628
Mo: 0.0000 0.0000 0.1804
Mo: 0.0000 0.0000 0.0530
Mo: 0.5000 0.5000 0.9470
Mo: 0.5000 0.0000 0.1168
Mo: 0.5000 0.0000 0.2443
Mo: 0.5000 0.5000 0.8196
Mo: 0.5000 0.0000 0.9892
Mo: 0.0000 0.0000 0.7969
Mo: 0.5000 0.0000 0.7372
Mo: 0.5000 0.5000 0.0747
Mo: 0.0000 0.5000 0.1386
Mo: 0.5000 0.5000 0.2031

Summary:
space group: Pmmn, No. 59
calculated total energy: -7.07 eV/atom
formation enthalpy at 0 K: -1.04 eV/atom

---

(4)
The following is a PBE-GGA calculation of a relaxed structure of LiTmAu2, from the Materials Project database.

Cell: 4.8156 4.8156 4.8156 Å, 60.00 60.00 60.00°
Atoms (fractional coordinates):
Au: 0.2500 0.2500 0.2500
Au: 0.7500 0.7500 0.7500
Li: 0.5000 0.5000 0.5000
Tm: 0.0000 0.0000 0.0000

Summary:
space group: Fm-3m, No. 225
calculated total energy: -3.96 eV/atom
formation enthalpy at 0 K: -0.73 eV/atom

---

(5)
The following is a PBE-GGA calculation of a relaxed structure of Te2Ir, from the Materials Project database.

Cell: 6.1305 6.1305 4.2054 Å, 90.00 90.00 90.00°
Atoms (fractional coordinates):
Ir: 0.0000 0.0000 0.0000
Ir: 0.5000 0.5000 0.5000
Te: 0.6928 0.6928 0.0000
Te: 0.3072 0.3072 0.0000
Te: 0.1928 0.8072 0.5000
Te: 0.8072 0.1928 0.5000

Summary:
space group: P4_2/mnm, No. 136
calculated total energy: -5.05 eV/atom
formation enthalpy at 0 K: -0.01 eV/atom

---

(6)
The following is a PBE-GGA calculation of a relaxed structure of Gd3SbO7, from the Materials Project database.

Cell: 6.5130 6.5523 7.6652 Å, 106.85 89.85 97.99°
Atoms (fractional coordinates):
O: 0.7123 0.0608 0.4840
O: 0.9036 0.9317 0.7325
O: 0.4398 0.6450 0.1658
O: 0.0964 0.0683 0.2675
O: 0.9308 0.6714 0.3887
O: 0.2877 0.9392 0.5160
O: 0.2887 0.9327 0.9537
O: 0.0692 0.3286 0.6113
O: 0.5485 0.3622 0.3447
O: 0.0760 0.3185 0.0446
O: 0.7113 0.0673 0.0463
O: 0.5602 0.3550 0.8342
O: 0.4515 0.6378 0.6553
O: 0.9240 0.6815 0.9554
Gd: 0.2630 0.5335 0.8821
Gd: 0.5396 0.9959 0.7483
Gd: 0.2604 0.5235 0.3841
Gd: 0.7370 0.4665 0.1179
Gd: 0.4604 0.0041 0.2517
Gd: 0.7396 0.4765 0.6159
Sb: 0.0000 0.0000 0.0000
Sb: 0.0000 0.0000 0.5000

Summary:
space group: P-1, No. 2
calculated total energy: -10.28 eV/atom
offset from the most stable computed form: 0.10 kcal/mol of atoms
formation enthalpy at 0 K: -3.36 eV/atom

---

no.,V (Å³/atom)
1,35.4
2,16.4
3,33.2
4,19.7
5,26.3
6,14.1